No. 1
DFT (PBE+U) results for Na2FeO3 after structural relaxation.

Summary:
Formation energy in eV per atom: -1.636
E above lowest polymorph in meV per atom: 2
Total energy after the MP2020 corrections in eV for the cell shown: -286.21

Cell: 5.3621 9.3050 11.0407 Å, 90.00 99.80 90.00°
With the nearest neighbours (Å) after each atom.
Space group C2/c (No. 15)
Asymmetric unit:
Na  0.0000  0.0869  0.2500  6 O 2.30-2.32
Na  0.2400  0.0772  0.9993  5 O 2.27-2.49
Na  0.2500  0.2500  0.5000  4 O 2.26-2.47
Fe  0.0000  0.2469  0.7500  6 O 2.05-2.06
Fe  0.0000  0.4206  0.2500  6 O 1.96-1.98
O  0.0876  0.4200  0.6494  2 Fe 1.96-2.06
O  0.1452  0.2791  0.1492  2 Fe 1.97-2.05
O  0.1602  0.0993  0.6471  2 Fe 1.98-2.06

***

No. 2
DFT (PBE+U) results for LiVF4 after structural relaxation.

Summary:
Size of the total moment in μB/atom: 0.33
Formation energy in eV per atom: -3.143
E above lowest polymorph in meV per atom: 75
Total energy after the MP2020 corrections in eV for the cell shown: -150.05

Cell: 10.7751 6.0727 5.1210 Å, 90.00 111.22 90.00°
With the nearest neighbours (Å) after each atom.
Space group C2/c (No. 15)
Asymmetric unit:
Li  0.2500  0.2500  0.0000  4 F 1.98-2.04
V  0.0000  0.1497  0.2500  6 F 1.86-2.06
F  0.1010  0.1094  0.6738  2 V 2.03-2.06, 1 Li 2.04
F  0.1247  0.3325  0.1873  1 V 1.86, 1 Li 1.98

***

No. 3
DFT (PBE+U) results for CaAsWO5 after structural relaxation.

Summary:
Size of the total moment in μB/atom: 0.00
Formation energy in eV per atom: -2.263
Total energy after the MP2020 corrections in eV for the cell shown: -249.87

Cell: 6.0224 9.7446 8.3784 Å, 90.00 90.57 90.00°
With the nearest neighbours (Å) after each atom.
Space group P2_1 (No. 4)
Asymmetric unit:
Ca  0.2155  0.0000  0.1708  4 O 2.24-2.48
Ca  0.2746  0.7778  0.6531  5 O 2.29-2.54
As  0.2321  0.4312  0.6195  3 O 1.76-1.91
As  0.2709  0.3402  0.1287  3 O 1.76-1.90
W  0.0311  0.6279  0.2598  6 O 1.99-2.09
W  0.4657  0.1413  0.7562  6 O 2.00-2.09
O  0.0144  0.8267  0.3247  1 As 1.86, 1 W 2.01
O  0.0541  0.4219  0.2612  1 As 1.90, 1 W 2.01
O  0.1397  0.5703  0.7345  1 As 1.76
O  0.2000  0.1258  0.9141  2 W 2.01-2.09
O  0.2337  0.0877  0.5957  2 W 2.00-2.05
O  0.2636  0.6726  0.1000  2 W 1.99-2.04
O  0.3033  0.6433  0.4150  2 W 2.01-2.09
O  0.3597  0.2018  0.2473  1 As 1.76
O  0.4482  0.3473  0.7554  1 As 1.91, 1 W 2.01
O  0.4842  0.9409  0.8094  1 As 1.84, 1 W 2.01

***

No. 4
DFT (PBE+U) results for Ni5As2O12 after structural relaxation.

Summary:
Size of the total moment in μB/atom: 0.32
Formation energy in eV per atom: -1.238
Total energy after the MP2020 corrections in eV for the cell shown: -242.24

Cell: 9.4083 8.8599 5.1193 Å, 90.00 96.79 90.00°
With the nearest neighbours (Å) after each atom.
Space group C2/m (No. 12)
Asymmetric unit:
Ni  0.0000  0.0000  0.0000  4 O 1.89
Ni  0.0000  0.1771  0.5000  6 O 1.93-2.09
Ni  0.0000  0.3377  0.0000  4 O 1.91-2.02
As  0.1839  0.5000  0.5533  4 O 1.72-1.76
O  0.0902  0.1674  0.8588  3 Ni 1.89-1.93
O  0.1233  0.5000  0.8631  1 As 1.75
O  0.1278  0.0000  0.3900  1 As 1.76
O  0.1303  0.3410  0.3765  1 As 1.72